No. 1
This record from Materials Project describes a relaxed structure of NdAlCu4. The functional is PBE-GGA.

Results
- DFT formation energy: -0.22 eV/atom
- Symmetry: P-6m2 (187)

a b c (Å): 5.338 5.338 4.055
angles (deg): 90.00 90.00 120.00
Sites, in units of the cell vectors:
Nd 0.667 0.333 0.000
Al 0.000 0.000 0.000
Cu 0.333 0.667 0.000
Cu 0.168 0.335 0.500
Cu 0.665 0.832 0.500
Cu 0.168 0.832 0.500

---

No. 2
This record from Materials Project describes a relaxed structure of Al2Cu2Ni. The functional is PBE-GGA.

Results
- DFT formation energy: -0.26 eV/atom
- Symmetry: P4mm (99)

a b c (Å): 2.958 2.958 14.312
angles (deg): 90.00 90.00 90.00
Sites, in units of the cell vectors:
Al 0.000 0.000 0.996
Al 0.000 0.000 0.192
Al 0.000 0.000 0.400
Al 0.000 0.000 0.610
Cu 0.500 0.500 0.297
Cu 0.500 0.500 0.503
Cu 0.500 0.500 0.706
Cu 0.500 0.500 0.897
Ni 0.000 0.000 0.801
Ni 0.500 0.500 0.097

---

No. 3
This record from Materials Project describes a relaxed structure of Al2CuO4. The functional is PBE-GGA.

Results
- DFT formation energy: -2.65 eV/atom
- Symmetry: Fd-3m (227)

a b c (Å): 5.767 5.767 5.767
angles (deg): 60.00 60.00 60.00
Sites, in units of the cell vectors:
Al 0.125 0.125 0.125
Al 0.625 0.125 0.125
Al 0.125 0.125 0.625
Al 0.125 0.625 0.125
Cu 0.500 0.500 0.500
Cu 0.750 0.750 0.750
O 0.890 0.331 0.890
O 0.360 0.360 0.919
O 0.360 0.360 0.360
O 0.919 0.360 0.360
O 0.890 0.890 0.890
O 0.331 0.890 0.890
O 0.360 0.919 0.360
O 0.890 0.890 0.331

---

No. 4
This record from Materials Project describes a relaxed structure of AlCu2O4. The functional is PBE-GGA.

Results
- DFT formation energy: -1.67 eV/atom
- Symmetry: Fd-3m (227)

a b c (Å): 5.831 5.831 5.831
angles (deg): 60.00 60.00 60.00
Sites, in units of the cell vectors:
Al 0.750 0.750 0.750
Al 0.500 0.500 0.500
Cu 0.125 0.125 0.625
Cu 0.125 0.125 0.125
Cu 0.125 0.625 0.125
Cu 0.625 0.125 0.125
O 0.877 0.369 0.877
O 0.881 0.373 0.373
O 0.373 0.373 0.881
O 0.373 0.373 0.373
O 0.369 0.877 0.877
O 0.373 0.881 0.373
O 0.877 0.877 0.369
O 0.877 0.877 0.877

---

No. 5
This record from Materials Project describes a relaxed structure of Al4Cu2O7. The functional is PBE-GGA.

Results
- DFT formation energy: -2.39 eV/atom
- Symmetry: F-43m (216)

a b c (Å): 5.994 5.994 5.994
angles (deg): 60.00 60.00 60.00
Sites, in units of the cell vectors:
Al 0.620 0.620 0.141
Al 0.620 0.141 0.620
Al 0.141 0.620 0.620
Al 0.620 0.620 0.620
Cu 0.250 0.250 0.250
Cu 0.000 0.000 0.000
O 0.750 0.750 0.750
O 0.741 0.741 0.259
O 0.259 0.259 0.741
O 0.741 0.259 0.741
O 0.259 0.741 0.741
O 0.741 0.259 0.259
O 0.259 0.741 0.259

---

No. 6
This record from Materials Project describes a relaxed structure of Al2CuO4. The functional is PBE-GGA.

Results
- DFT formation energy: -2.62 eV/atom
- Symmetry: Imma (74)

a b c (Å): 5.822 5.822 5.822
angles (deg): 122.65 121.64 86.32
Sites, in units of the cell vectors:
Al 0.612 0.862 0.750
Al 0.388 0.138 0.250
Al 0.000 0.500 0.500
Al 0.500 0.500 0.000
Cu 0.000 0.000 0.500
Cu 0.000 0.500 0.000
O 0.773 0.269 0.503
O 0.266 0.269 0.997
O 0.734 0.731 0.003
O 0.267 0.282 0.516
O 0.267 0.751 0.984
O 0.227 0.731 0.497
O 0.733 0.249 0.016
O 0.733 0.718 0.484

---

No. 7
This record from Materials Project describes a relaxed structure of Al2CuO4. The functional is PBE-GGA.

Results
- DFT formation energy: -2.66 eV/atom
- Symmetry: P3m1 (156)

a b c (Å): 5.750 5.750 14.186
angles (deg): 90.00 90.00 120.00
Sites, in units of the cell vectors:
Al 0.831 0.169 0.833
Al 0.831 0.662 0.833
Al 0.166 0.834 0.499
Al 0.338 0.169 0.833
Al 0.333 0.667 0.712
Al 0.333 0.667 0.334
Al 0.166 0.331 0.499
Al 0.499 0.501 0.167
Al 0.669 0.834 0.499
Al 0.499 0.998 0.167
Al 0.002 0.501 0.167
Al 0.000 0.000 0.042
Cu 0.333 0.667 0.959
Cu 0.667 0.333 0.997
Cu 0.667 0.333 0.623
Cu 0.000 0.000 0.293
Cu 0.000 0.000 0.662
Cu 0.667 0.333 0.376
O 0.514 0.486 0.906
O 0.667 0.333 0.762
O 0.514 0.028 0.906
O 0.972 0.486 0.906
O 0.847 0.153 0.572
O 0.678 0.839 0.759
O 0.000 0.000 0.909
O 0.000 0.000 0.430
O 0.847 0.694 0.572
O 0.161 0.322 0.759
O 0.306 0.153 0.572
O 0.161 0.839 0.759
O 0.043 0.521 0.424
O 0.187 0.813 0.246
O 0.333 0.667 0.583
O 0.479 0.957 0.424
O 0.333 0.667 0.098
O 0.187 0.374 0.246
O 0.626 0.813 0.246
O 0.479 0.521 0.424
O 0.338 0.169 0.090
O 0.667 0.333 0.229
O 0.831 0.662 0.090
O 0.831 0.169 0.090

---

No. 8
This record from Materials Project describes a relaxed structure of Al2CuO4. The functional is PBE-GGA.

Results
- DFT formation energy: -2.64 eV/atom
- Symmetry: Cm (8)

a b c (Å): 5.773 5.773 23.712
angles (deg): 83.45 83.45 59.72
Sites, in units of the cell vectors:
Al 0.653 0.653 0.051
Al 0.121 0.629 0.125
Al 0.254 0.254 0.249
Al 0.325 0.325 0.023
Al 0.629 0.121 0.125
Al 0.721 0.229 0.326
Al 0.924 0.924 0.224
Al 0.854 0.854 0.449
Al 0.229 0.721 0.326
Al 0.321 0.829 0.525
Al 0.524 0.524 0.424
Al 0.455 0.455 0.648
Al 0.829 0.321 0.525
Al 0.921 0.428 0.726
Al 0.125 0.125 0.624
Al 0.523 0.523 0.925
Al 0.428 0.921 0.726
Al 0.722 0.722 0.827
Al 0.523 0.027 0.925
Al 0.027 0.523 0.925
Cu 0.001 0.001 0.999
Cu 0.599 0.599 0.200
Cu 0.120 0.120 0.125
Cu 0.199 0.199 0.400
Cu 0.720 0.720 0.326
Cu 0.799 0.799 0.601
Cu 0.320 0.320 0.525
Cu 0.400 0.400 0.801
Cu 0.921 0.921 0.726
Cu 0.048 0.048 0.850
O 0.997 0.482 0.074
O 0.482 0.997 0.074
O 0.286 0.286 0.171
O 0.793 0.793 0.172
O 0.596 0.080 0.274
O 0.466 0.466 0.077
O 0.887 0.887 0.371
O 0.080 0.596 0.274
O 0.780 0.237 0.174
O 0.963 0.963 0.082
O 0.393 0.393 0.372
O 0.237 0.780 0.174
O 0.068 0.068 0.276
O 0.196 0.681 0.474
O 0.681 0.196 0.474
O 0.380 0.837 0.374
O 0.562 0.562 0.283
O 0.488 0.488 0.570
O 0.993 0.993 0.572
O 0.795 0.284 0.672
O 0.668 0.668 0.476
O 0.837 0.380 0.374
O 0.284 0.795 0.672
O 0.087 0.087 0.763
O 0.980 0.439 0.574
O 0.163 0.163 0.483
O 0.593 0.593 0.772
O 0.413 0.851 0.880
O 0.271 0.271 0.674
O 0.439 0.980 0.574
O 0.851 0.413 0.880
O 0.578 0.037 0.776
O 0.675 0.675 0.974
O 0.766 0.766 0.684
O 0.196 0.196 0.972
O 0.851 0.851 0.881
O 0.037 0.578 0.776
O 0.371 0.371 0.884
O 0.197 0.636 0.972
O 0.636 0.197 0.972

---

No. 9
This record from Materials Project describes a relaxed structure of AlCu7O12. The functional is PBE-GGA.

Results
- DFT formation energy: -0.95 eV/atom
- Symmetry: Im-3 (204)

a b c (Å): 6.268 6.268 6.268
angles (deg): 109.47 109.47 109.47
Sites, in units of the cell vectors:
Al 0.000 0.000 0.000
Cu 0.000 0.000 0.500
Cu 0.000 0.500 0.000
Cu 0.500 0.000 0.000
Cu 0.500 0.500 0.500
Cu 0.000 0.500 0.500
Cu 0.500 0.000 0.500
Cu 0.500 0.500 0.000
O 0.299 0.133 0.834
O 0.701 0.867 0.166
O 0.701 0.535 0.834
O 0.465 0.166 0.299
O 0.166 0.299 0.465
O 0.834 0.299 0.133
O 0.867 0.166 0.701
O 0.834 0.701 0.535
O 0.299 0.465 0.166
O 0.535 0.834 0.701
O 0.166 0.701 0.867
O 0.133 0.834 0.299

---

No. 10
This record from Materials Project describes a relaxed structure of AlCu2O4. The functional is PBE-GGA.

Results
- DFT formation energy: -1.62 eV/atom
- Symmetry: I4_1/a (88)

a b c (Å): 6.116 6.116 6.116
angles (deg): 129.60 129.60 74.05
Sites, in units of the cell vectors:
Al 0.000 0.000 0.000
Al 0.750 0.250 0.500
Cu 0.375 0.125 0.750
Cu 0.375 0.625 0.250
Cu 0.875 0.625 0.250
Cu 0.375 0.625 0.750
O 0.143 0.651 0.870
O 0.781 0.273 0.130
O 0.607 0.599 0.630
O 0.969 0.977 0.370
O 0.401 0.031 0.008
O 0.023 0.393 0.992
O 0.727 0.857 0.508
O 0.349 0.219 0.492

---

No. 11
This record from Materials Project describes a relaxed structure of Al2CuO4. The functional is PBE-GGA.

Results
- DFT formation energy: -2.66 eV/atom
- Symmetry: Cm (8)

a b c (Å): 5.750 5.750 19.240
angles (deg): 80.99 80.99 60.01
Sites, in units of the cell vectors:
Al 0.378 0.378 0.874
Al 0.870 0.378 0.874
Al 0.378 0.870 0.874
Al 0.126 0.126 0.625
Al 0.626 0.125 0.624
Al 0.347 0.347 0.470
Al 0.125 0.626 0.624
Al 0.001 0.001 0.503
Al 0.377 0.871 0.375
Al 0.906 0.906 0.785
Al 0.871 0.377 0.375
Al 0.626 0.626 0.125
Al 0.122 0.626 0.125
Al 0.748 0.748 0.250
Al 0.626 0.122 0.125
Al 0.157 0.157 0.031
Cu 0.843 0.843 0.969
Cu 0.500 0.500 0.998
Cu 0.594 0.594 0.716
Cu 0.251 0.251 0.746
Cu 0.871 0.871 0.376
Cu 0.092 0.092 0.222
Cu 0.657 0.657 0.532
Cu 0.406 0.406 0.278
O 0.675 0.218 0.929
O 0.560 0.560 0.821
O 0.218 0.675 0.929
O 0.676 0.676 0.929
O 0.066 0.066 0.819
O 0.426 0.971 0.677
O 0.549 0.067 0.819
O 0.312 0.312 0.565
O 0.189 0.189 0.932
O 0.971 0.426 0.677
O 0.067 0.549 0.819
O 0.426 0.426 0.676
O 0.833 0.833 0.569
O 0.194 0.707 0.442
O 0.268 0.835 0.568
O 0.938 0.938 0.687
O 0.063 0.063 0.329
O 0.707 0.194 0.442
O 0.835 0.268 0.568
O 0.182 0.182 0.438
O 0.917 0.476 0.184
O 0.577 0.577 0.317
O 0.026 0.564 0.313
O 0.809 0.809 0.073
O 0.684 0.684 0.428
O 0.476 0.917 0.184
O 0.564 0.026 0.313
O 0.918 0.918 0.184
O 0.313 0.313 0.067
O 0.806 0.314 0.067
O 0.442 0.442 0.171
O 0.314 0.806 0.067

---

No. 12
This record from Materials Project describes a relaxed structure of Al2CuO4. The functional is PBE-GGA.

Results
- DFT formation energy: -2.65 eV/atom
- Symmetry: R3m (160)

a b c (Å): 19.215 19.215 19.215
angles (deg): 17.20 17.20 17.20
Sites, in units of the cell vectors:
Al 0.130 0.622 0.622
Al 0.622 0.130 0.622
Al 0.872 0.872 0.380
Al 0.380 0.872 0.872
Al 0.622 0.622 0.130
Al 0.872 0.380 0.872
Al 0.124 0.124 0.627
Al 0.627 0.124 0.124
Al 0.094 0.094 0.094
Al 0.124 0.627 0.124
Al 0.250 0.250 0.250
Al 0.345 0.345 0.345
Al 0.374 0.877 0.374
Al 0.877 0.374 0.374
Al 0.374 0.374 0.877
Al 0.844 0.844 0.844
Cu 0.157 0.157 0.157
Cu 0.499 0.499 0.499
Cu 0.406 0.406 0.406
Cu 0.749 0.749 0.749
Cu 0.656 0.656 0.656
Cu 0.999 0.999 0.999
Cu 0.907 0.907 0.907
Cu 0.594 0.594 0.594
O 0.324 0.782 0.324
O 0.441 0.441 0.441
O 0.782 0.324 0.324
O 0.324 0.324 0.782
O 0.574 0.031 0.574
O 0.935 0.935 0.449
O 0.449 0.935 0.935
O 0.031 0.574 0.574
O 0.691 0.691 0.691
O 0.811 0.811 0.811
O 0.574 0.574 0.031
O 0.935 0.449 0.935
O 0.823 0.283 0.823
O 0.184 0.184 0.701
O 0.701 0.184 0.184
O 0.283 0.823 0.823
O 0.061 0.061 0.061
O 0.941 0.941 0.941
O 0.823 0.823 0.283
O 0.184 0.701 0.184
O 0.082 0.521 0.082
O 0.418 0.418 0.982
O 0.191 0.191 0.191
O 0.521 0.082 0.082
O 0.982 0.418 0.418
O 0.312 0.312 0.312
O 0.082 0.082 0.521
O 0.418 0.982 0.418
O 0.687 0.687 0.193
O 0.193 0.687 0.687
O 0.557 0.557 0.557
O 0.687 0.193 0.687

---

Copy entry 1 word for word.
This record from Materials Project describes a relaxed structure of NdAlCu4. The functional is PBE-GGA.

Results
- DFT formation energy: -0.22 eV/atom
- Symmetry: P-6m2 (187)

a b c (Å): 5.338 5.338 4.055
angles (deg): 90.00 90.00 120.00
Sites, in units of the cell vectors:
Nd 0.667 0.333 0.000
Al 0.000 0.000 0.000
Cu 0.333 0.667 0.000
Cu 0.168 0.335 0.500
Cu 0.665 0.832 0.500
Cu 0.168 0.832 0.500

---

Which value of DFT formation energy does entry 7 give?
-2.66 eV/atom